1.
This record from Materials Project describes crystalline Li4VF7 at its relaxed geometry. The functional is PBE+U.

Summary:
* DFT total energy: -0.1944 Ha/atom
* crystal system: cubic
* energy relative to the elements: -3191 meV/atom
* energy relative to the lowest polymorph listed for this composition: 0.00 kJ per mole of atoms

abc: 5.9854 5.9854 5.9854
angles: 60.00 60.00 60.00
Fractional positions:
F 0.2500 0.2500 0.2500
F 0.2363 0.7637 0.2363
F 0.7637 0.2363 0.2363
F 0.2363 0.2363 0.7637
F 0.7637 0.2363 0.7637
F 0.7637 0.7637 0.2363
F 0.2363 0.7637 0.7637
Li 0.3739 0.3739 0.3739
Li 0.3739 0.8782 0.3739
Li 0.3739 0.3739 0.8782
Li 0.8782 0.3739 0.3739
V 0.0000 0.0000 0.0000

---

2.
This record from Materials Project describes crystalline LiVF5 at its relaxed geometry. The functional is PBE+U.

Summary:
* DFT total energy: -0.2001 Ha/atom
* crystal system: orthorhombic
* energy relative to the elements: -3080 meV/atom
* energy relative to the lowest polymorph listed for this composition: 1.46 kJ per mole of atoms

abc: 6.8439 7.3539 7.6558
angles: 90.00 90.00 90.00
Fractional positions:
F 0.2420 0.9988 0.3759
F 0.2420 0.5012 0.3759
F 0.7420 0.4988 0.1241
F 0.2580 0.5012 0.8759
F 0.2114 0.2500 0.6261
F 0.7886 0.7500 0.3739
F 0.7114 0.7500 0.8739
F 0.9773 0.2500 0.3397
F 0.0227 0.7500 0.6603
F 0.2580 0.9988 0.8759
F 0.5227 0.2500 0.8397
F 0.9862 0.2500 0.9103
F 0.4773 0.7500 0.1603
F 0.7580 0.4988 0.6241
F 0.7580 0.0012 0.6241
F 0.0138 0.7500 0.0897
F 0.5138 0.2500 0.4103
F 0.7420 0.0012 0.1241
F 0.4862 0.7500 0.5897
F 0.2886 0.2500 0.1261
Li 0.6775 0.2500 0.6219
Li 0.1775 0.7500 0.8781
Li 0.3225 0.7500 0.3781
Li 0.8225 0.2500 0.1219
V 0.7451 0.7500 0.1244
V 0.7549 0.7500 0.6244
V 0.2549 0.2500 0.8756
V 0.2451 0.2500 0.3756

---

3.
This record from Materials Project describes crystalline LiVF5 at its relaxed geometry. The functional is PBE+U.

Summary:
* total magnetic moment: 8.00 Bohr magnetons per cell
* DFT total energy: -0.1994 Ha/atom
* crystal system: monoclinic
* energy relative to the elements: -3060 meV/atom
* energy relative to the lowest polymorph listed for this composition: 3.40 kJ per mole of atoms

abc: 7.9055 9.4023 13.3651
angles: 51.41 90.00 90.00
Fractional positions:
F 0.1904 0.9761 0.9740
F 0.5925 0.6719 0.6415
F 0.3096 0.9761 0.4740
F 0.7960 0.9513 0.7336
F 0.5953 0.7566 0.1374
F 0.2702 0.5560 0.8866
F 0.9075 0.6719 0.1415
F 0.2040 0.0487 0.2664
F 0.2455 0.3816 0.6482
F 0.9061 0.2650 0.5342
F 0.4075 0.3281 0.3585
F 0.2960 0.0487 0.7664
F 0.2545 0.3816 0.1482
F 0.0939 0.7350 0.4658
F 0.5732 0.2567 0.5789
F 0.7702 0.4440 0.6134
F 0.0925 0.3281 0.8585
F 0.9047 0.7566 0.6374
F 0.4832 0.8414 0.7334
F 0.9268 0.2567 0.0789
F 0.0732 0.7433 0.9211
F 0.1624 0.8840 0.6850
F 0.2298 0.5560 0.3866
F 0.7545 0.6184 0.3518
F 0.0168 0.8414 0.2334
F 0.4061 0.7350 0.9658
F 0.5939 0.2650 0.0342
F 0.8096 0.0239 0.0260
F 0.8376 0.1160 0.3150
F 0.9832 0.1586 0.7666
F 0.3376 0.8840 0.1850
F 0.6904 0.0239 0.5260
F 0.4047 0.2434 0.8626
F 0.4268 0.7433 0.4211
F 0.7040 0.9513 0.2336
F 0.6624 0.1160 0.8150
F 0.5168 0.1586 0.2666
F 0.7298 0.4440 0.1134
F 0.0953 0.2434 0.3626
F 0.7455 0.6184 0.8518
Li 0.1345 0.7845 0.5881
Li 0.6581 0.6637 0.4726
Li 0.8419 0.6637 0.9726
Li 0.8655 0.2155 0.4119
Li 0.3419 0.3363 0.5274
Li 0.1581 0.3363 0.0274
Li 0.6345 0.2155 0.9119
Li 0.3655 0.7845 0.0881
V 0.7748 0.2084 0.6673
V 0.2003 0.1994 0.8168
V 0.7997 0.8006 0.1832
V 0.2252 0.7916 0.3327
V 0.7252 0.2084 0.1673
V 0.2748 0.7916 0.8327
V 0.2997 0.1994 0.3168
V 0.7003 0.8006 0.6832

---

> Which value of DFT total energy does entry 3 give?

-0.1994 Ha/atom

---

> Which of these has the lowest DFT total energy?

number 2